First-principles (PBE with a Hubbard U) data for crystalline Li2FeNi2O6 at its relaxed geometry, as listed in the Materials Project database.

Structure (POSCAR):
```
Li2FeNi2O6
1.0
6.5683 0.0000 0.0000
0.8858 6.5793 0.0000
2.7967 2.4116 7.4572
Li Fe Ni O
6 3 6 18
Cartesian
1.1023 1.8034 2.5016
2.2997 1.0727 0.0113
4.5149 4.8480 5.0149
5.7358 4.1429 2.4423
7.9510 7.9182 7.4459
9.1484 7.1876 4.9556
1.8412 4.4955 3.7286
3.0744 3.7137 1.1904
7.1763 5.2772 6.2668
2.4930 3.1030 6.2084
5.2325 7.5076 6.1695
3.7500 2.2943 3.7141
6.5007 6.6966 3.7430
5.0182 1.4834 1.2877
7.7578 5.8880 1.2488
1.2456 4.0667 1.9171
3.4018 7.8817 6.7228
1.9793 2.5365 4.2249
4.2369 2.8563 5.4619
2.9694 5.6167 0.4560
3.7527 4.0774 3.1262
3.1962 1.8199 1.9434
5.3170 5.4691 6.8437
4.7220 7.0674 4.3856
5.5288 1.9235 3.0716
4.9337 3.5219 0.6134
7.0545 7.1711 5.5138
6.4980 4.9136 4.3310
7.2813 3.3742 7.0012
6.0138 6.1347 1.9953
8.2714 6.4544 3.2323
6.8489 1.1093 0.7344
9.0051 4.9243 5.5401
```

Output
SG = P-1
formation enthalpy at 0 K = -33.170 kcal/mol of atoms
ΔE to the lowest computed polymorph = 0.0 meV/atom

=====

First-principles (PBE with a Hubbard U) data for crystalline Li3Fe2Ni5O12 at its relaxed geometry, as listed in the Materials Project database.

Structure (POSCAR):
```
Li3Fe2Ni5O12
1.0
5.0104 0.0000 0.0000
2.4940 4.4124 0.0000
0.5041 -0.0558 28.8002
Li Fe Ni O
9 6 15 36
Cartesian
0.0000 0.0000 0.0000
1.2920 1.4109 26.4123
2.0563 0.0047 24.0266
4.3146 4.3891 9.6201
2.6169 1.4439 7.2233
4.4226 1.4314 16.8138
5.9154 4.3977 4.8417
5.2453 -0.0159 14.4457
6.1531 1.4085 19.1999
3.5516 2.9006 12.0057
3.7880 2.8076 26.4122
5.1202 2.8397 7.2277
5.4106 2.8779 21.6089
6.9165 2.8913 16.8388
6.6870 2.9229 2.4356
1.7053 -0.0002 2.4173
3.4133 2.9234 4.8524
1.9757 -0.0200 16.8238
2.9015 1.4016 21.6203
3.6856 2.8493 19.1983
3.5293 -0.0086 12.0175
4.2029 1.4964 2.4139
3.7959 -0.0381 26.4041
5.2390 2.8878 14.4471
5.5110 2.8503 28.7870
6.0380 1.4747 12.0150
5.3751 -0.0405 21.6143
5.1279 -0.0073 7.2287
6.8212 2.9178 9.6005
7.0713 2.8637 24.0276
2.8715 4.1723 25.3566
2.0845 2.8808 20.4875
2.7683 4.3373 10.9674
2.9121 4.2207 17.8901
3.3825 3.1251 8.3244
2.6723 1.5103 17.8707
2.5847 1.5448 10.9604
3.6646 3.0399 22.7284
4.3944 4.2914 20.5369
3.6397 3.0998 15.7336
4.3136 4.2229 13.1531
2.6424 1.5637 3.4620
4.2157 4.2259 6.1987
3.0084 1.4258 25.3663
3.4201 2.9096 1.2912
4.6946 4.1933 27.4537
4.5826 1.4236 27.4401
5.0183 2.9669 3.5759
5.5071 3.0865 25.3035
5.2914 2.9193 17.9507
5.2024 2.9558 10.8664
6.0864 4.2446 15.7637
4.4916 1.5031 13.0847
4.3456 1.4651 6.1972
4.6193 1.4685 20.5258
6.2851 4.2703 22.6788
6.0216 4.2238 8.2653
5.9344 4.2520 1.3140
7.0767 3.0833 27.4962
5.7555 1.5259 1.3520
5.9032 1.4713 8.2616
6.8148 2.8837 13.1216
7.4609 4.3387 3.4810
6.1470 1.5575 15.7348
6.8559 3.1248 6.1307
6.2522 1.4743 22.7772
```

Output
SG = P1
formation enthalpy at 0 K = -31.450 kcal/mol of atoms

=====

First-principles (PBE with a Hubbard U) data for crystalline Li3Fe5Ni2O12 at its relaxed geometry, as listed in the Materials Project database.

Structure (POSCAR):
```
Li3Fe5Ni2O12
1.0
2.6103 -4.4090 0.0000
2.6103 4.4090 0.0000
-1.4554 0.0000 9.5892
Li Fe Ni O
3 5 2 12
Cartesian
0.0000 0.0000 0.0000
0.8923 -1.5247 2.3629
2.8729 -1.5247 7.2263
0.9289 1.4763 2.3560
1.8826 2.9845 4.7946
1.8826 -0.0240 4.7946
2.8363 1.4763 7.2333
2.6103 -1.3741 0.0000
2.6103 1.4463 0.0000
1.8826 -2.9804 4.7946
1.8061 2.7471 1.0944
0.2361 0.0031 3.6445
1.1724 1.5037 5.9632
1.9590 2.7471 8.4949
1.7808 0.0807 1.0358
2.5928 1.5037 3.6261
0.9834 -1.5395 5.9074
1.9844 0.0807 8.5534
1.9334 -2.7215 1.1702
2.7818 -1.5395 3.6819
3.5291 0.0031 5.9447
1.8317 -2.7215 8.4191
```

Output
SG = C2
formation enthalpy at 0 K = -37.039 kcal/mol of atoms